[1]
Density functional theory data (PBE) for an optimized crystal structure of Na14Nb4In4Si11SO48.

Cell: 18.4469 9.2112 22.5652 Å, 89.92 90.06 120.00°
Last column: nearest neighbours and their distance in Å.
Positions (direct):
Na 0.3235 0.9997 0.2500  6 O 2.49-2.77
Na 0.8242 0.0004 0.2500  6 O 2.49-2.78
Na 0.3211 0.6340 0.7491  5 O 2.46-2.61
Na 0.8232 0.6454 0.7487  8 O 2.53-2.83
Na 0.4935 0.3604 0.7477  5 O 2.44-2.64
Na 0.6812 0.0047 0.7510  4 O 2.45-2.58
Na 0.1496 0.3245 0.5827  6 O 2.46-2.73
Na 0.6528 0.3294 0.5816  5 O 2.48-2.73
Na 0.0150 0.7082 0.5850  5 O 2.47-2.56
Na 0.5108 0.6888 0.5830  8 O 2.59-2.82
Na 0.3315 0.9794 0.5829  7 O 2.53-2.81
Na 0.8405 0.9725 0.5856  5 O 2.42-2.68
Na 0.1458 0.9560 0.0805  5 O 2.41-2.58
Na 0.6457 0.9558 0.0800  5 O 2.41-2.57
Na 0.3323 0.7126 0.0830  6 O 2.45-2.66
Na 0.8324 0.7124 0.0835  6 O 2.45-2.64
Na 0.0238 0.3347 0.0834  6 O 2.45-2.61
Na 0.5233 0.3341 0.0834  6 O 2.45-2.62
Na 0.4847 0.6800 0.9142  4 O 2.40-2.54
Na 0.9857 0.6778 0.9147  5 O 2.43-2.71
Na 0.3549 0.0282 0.9146  5 O 2.43-2.71
Na 0.8542 0.0293 0.9146  5 O 2.47-2.68
Na 0.1611 0.2982 0.9183  5 O 2.44-2.73
Na 0.6599 0.2915 0.9151  4 O 2.41-2.56
Na 0.4757 0.2873 0.4160  6 O 2.45-2.64
Na 0.9771 0.2886 0.4168  6 O 2.46-2.66
Na 0.1680 0.0444 0.4210  5 O 2.43-2.59
Na 0.6678 0.0436 0.4190  5 O 2.41-2.57
Na 0.3554 0.6650 0.4160  6 O 2.42-2.67
Na 0.8567 0.6655 0.4165  6 O 2.46-2.60
Na 0.0006 0.9991 0.5005  6 O 2.53-2.67
Na 0.4986 0.9986 0.4953  4 O 2.42-2.70
Na 0.9994 0.0013 0.0000  6 O 2.50-2.67
Na 0.4992 0.0000 0.9991  6 O 2.52-2.58
Na 0.3329 0.3238 0.8288  6 O 2.44-2.68
Na 0.8395 0.3345 0.8321  6 O 2.51-2.72
Na 0.3375 0.3473 0.3361  5 O 2.44-2.65
Na 0.8384 0.3489 0.3356  5 O 2.40-2.63
Na 0.1641 0.6518 0.1643  5 O 2.42-2.63
Na 0.6640 0.6518 0.1642  5 O 2.42-2.64
Na 0.1631 0.6773 0.6685  6 O 2.51-2.72
Na 0.6667 0.6664 0.6668  6 O 2.54-2.61
Nb 0.4980 0.9977 0.6494  6 O 1.96-2.06
Nb 0.8374 0.3371 0.6851  6 O 1.93-2.09
Nb 0.3389 0.3476 0.1859  5 O 1.88-2.01
Nb 0.8393 0.3482 0.1859  5 O 1.88-2.01
Nb 0.3335 0.3355 0.9790  6 O 1.95-2.08
Nb 0.8329 0.3330 0.9792  6 O 1.94-2.10
Nb 0.1654 0.6685 0.5196  6 O 1.94-2.09
Nb 0.6672 0.6660 0.5195  6 O 1.93-2.11
Nb 0.1652 0.6520 0.3140  5 O 1.88-2.01
Nb 0.6651 0.6524 0.3137  5 O 1.88-2.02
Nb 0.1661 0.6765 0.8170  5 O 1.89-2.09
Nb 0.6665 0.6686 0.8151  6 O 1.96-2.12
In 0.9950 0.9962 0.3519  6 O 2.10-2.31
In 0.4944 0.9954 0.3514  6 O 2.09-2.31
In 0.9954 0.9937 0.8492  6 O 2.10-2.24
In 0.5004 0.0011 0.8497  6 O 2.09-2.19
In 0.9984 0.9915 0.6505  6 O 2.10-2.29
In 0.9967 0.0042 0.1479  6 O 2.10-2.31
In 0.4965 0.0042 0.1477  6 O 2.10-2.32
In 0.3339 0.3271 0.6797  5 O 2.06-2.20
In 0.3347 0.3342 0.4822  6 O 2.10-2.23
In 0.8331 0.3302 0.4810  6 O 2.09-2.24
In 0.1666 0.6664 0.0194  6 O 2.09-2.23
In 0.6670 0.6662 0.0200  6 O 2.09-2.22
Si 0.3512 0.7022 0.2504  4 O 1.62-1.68
Si 0.8513 0.7026 0.2505  4 O 1.62-1.68
Si 0.0000 0.2975 0.2495  4 O 1.62-1.68
Si 0.4998 0.2973 0.2494  4 O 1.62-1.68
Si 0.6486 0.2972 0.7503  4 O 1.61-1.66
Si 0.0023 0.7015 0.7497  4 O 1.62-1.68
Si 0.4981 0.7004 0.7516  4 O 1.61-1.68
Si 0.3495 0.9994 0.7521  4 O 1.62-1.70
Si 0.8514 0.0026 0.7503  4 O 1.61-1.69
Si 0.4827 0.3325 0.5828  4 O 1.62-1.67
Si 0.9813 0.3325 0.5814  4 O 1.62-1.68
Si 0.1850 0.0397 0.5809  4 O 1.62-1.69
Si 0.6857 0.0389 0.5832  4 O 1.62-1.66
Si 0.3327 0.6283 0.5839  4 O 1.62-1.68
Si 0.8333 0.6264 0.5810  4 O 1.61-1.67
Si 0.4801 0.6278 0.0821  4 O 1.61-1.67
Si 0.9800 0.6277 0.0817  4 O 1.61-1.67
Si 0.3325 0.0451 0.0843  4 O 1.62-1.69
Si 0.8325 0.0446 0.0847  4 O 1.62-1.69
Si 0.1881 0.3306 0.0837  4 O 1.62-1.69
Si 0.6882 0.3304 0.0837  4 O 1.62-1.69
Si 0.3129 0.6666 0.9177  4 O 1.62-1.68
Si 0.8130 0.6652 0.9185  4 O 1.61-1.69
Si 0.0206 0.3732 0.9187  4 O 1.62-1.68
Si 0.5198 0.3738 0.9185  4 O 1.61-1.69
Si 0.1668 0.9642 0.9191  4 O 1.61-1.69
Si 0.6665 0.9610 0.9192  4 O 1.61-1.69
Si 0.3105 0.9567 0.4150  4 O 1.62-1.68
Si 0.8107 0.9560 0.4153  4 O 1.62-1.69
Si 0.1665 0.3724 0.4185  4 O 1.62-1.67
Si 0.6665 0.3718 0.4172  4 O 1.61-1.67
Si 0.0219 0.6682 0.4152  4 O 1.62-1.67
Si 0.5228 0.6691 0.4164  4 O 1.62-1.69
S 0.1499 0.0000 0.2498  4 O 1.48-1.51
S 0.6499 0.0001 0.2499  4 O 1.47-1.51
S 0.1493 0.3012 0.7514  4 O 1.48-1.52
O 0.1118 0.0236 0.3039  1 S 1.48
O 0.6118 0.0234 0.3042  1 S 1.48
O 0.4055 0.7728 0.3109  1 Si 1.62
O 0.9055 0.7738 0.3108  1 Si 1.62
O 0.4784 0.1796 0.3083  1 Si 1.63
O 0.9778 0.1788 0.3081  1 Si 1.63
O 0.1090 0.2016 0.8051  1 S 1.48
O 0.6147 0.1841 0.8093  1 Si 1.61
O 0.4838 0.7801 0.8107  1 Si 1.61
O 0.9787 0.7731 0.8079  1 Si 1.63
O 0.4063 0.0333 0.8107  1 Si 1.62
O 0.9037 0.0350 0.8109  1 Si 1.61
O 0.4018 0.9740 0.6948  1 Si 1.70
O 0.8876 0.9558 0.6923  1 Si 1.62
O 0.1010 0.2246 0.6967  1 S 1.48
O 0.5847 0.1981 0.6939  1 Si 1.66
O 0.0185 0.8078 0.6892  1 Si 1.62
O 0.5131 0.8295 0.6945  1 Si 1.68
O 0.3887 0.8207 0.1918  1 Si 1.63
O 0.8884 0.8204 0.1917  1 Si 1.63
O 0.0188 0.2264 0.1891  1 Si 1.62
O 0.5192 0.2267 0.1892  1 Si 1.62
O 0.0999 0.9764 0.1958  1 S 1.48
O 0.5999 0.9764 0.1961  1 S 1.47
O 0.4500 0.3832 0.6415  1 Si 1.62
O 0.9286 0.3612 0.6366  1 Si 1.68
O 0.2494 0.1110 0.6362  1 Si 1.62
O 0.7483 0.1351 0.6398  1 Si 1.65
O 0.3102 0.5124 0.6429  1 Si 1.62
O 0.8183 0.5012 0.6389  1 Si 1.67
O 0.4282 0.5034 0.1390  1 Si 1.67
O 0.9283 0.5036 0.1388  1 Si 1.67
O 0.3237 0.1439 0.1424  1 Si 1.65
O 0.8238 0.1441 0.1425  1 Si 1.65
O 0.2512 0.3488 0.1387  1 Si 1.65
O 0.7513 0.3490 0.1387  1 Si 1.65
O 0.2372 0.3126 0.0235  1 Si 1.69
O 0.7376 0.3127 0.0236  1 Si 1.69
O 0.4189 0.5284 0.0240  1 Si 1.67
O 0.9188 0.5278 0.0236  1 Si 1.67
O 0.3421 0.1667 0.0255  1 Si 1.69
O 0.8420 0.1658 0.0256  1 Si 1.69
O 0.2218 0.1520 0.5209  1 Si 1.63
O 0.7180 0.1511 0.5235  1 Si 1.62
O 0.3596 0.5615 0.5260  1 Si 1.62
O 0.8496 0.5481 0.5220  1 Si 1.61
O 0.4240 0.2840 0.5244  1 Si 1.62
O 0.9240 0.2887 0.5224  1 Si 1.62
O 0.2749 0.7030 0.9767  1 Si 1.62
O 0.7752 0.7017 0.9771  1 Si 1.61
O 0.0746 0.4441 0.9789  1 Si 1.62
O 0.5760 0.4495 0.9772  1 Si 1.61
O 0.1450 0.8488 0.9775  1 Si 1.61
O 0.6490 0.8492 0.9780  1 Si 1.61
O 0.2589 0.8357 0.4732  1 Si 1.68
O 0.7599 0.8361 0.4745  1 Si 1.69
O 0.1543 0.4695 0.4766  1 Si 1.66
O 0.6565 0.4733 0.4750  1 Si 1.67
O 0.0795 0.6842 0.4747  1 Si 1.67
O 0.5807 0.6869 0.4767  1 Si 1.69
O 0.0761 0.6503 0.3604  1 Si 1.65
O 0.5763 0.6502 0.3615  1 Si 1.65
O 0.2522 0.8571 0.3570  1 Si 1.65
O 0.7515 0.8561 0.3578  1 Si 1.65
O 0.1766 0.4964 0.3613  1 Si 1.67
O 0.6763 0.4956 0.3604  1 Si 1.66
O 0.0728 0.5073 0.8636  1 Si 1.68
O 0.5690 0.5000 0.8599  1 Si 1.69
O 0.1830 0.8631 0.8626  1 Si 1.69, 1 Nb 1.89
O 0.6795 0.8608 0.8609  1 Si 1.69
O 0.2499 0.6360 0.8597  1 Si 1.68
O 0.7503 0.6392 0.8597  1 Si 1.69
O 0.0195 0.8421 0.4141  1 Si 1.62
O 0.5200 0.8429 0.4149  1 Si 1.63
O 0.4009 0.9649 0.4178  1 Si 1.63
O 0.9009 0.9656 0.4177  1 Si 1.62
O 0.0818 0.1918 0.4138  1 Si 1.62
O 0.5810 0.1919 0.4143  1 Si 1.62
O 0.0087 0.1877 0.9101  1 Si 1.62
O 0.5068 0.1877 0.9116  1 Si 1.62
O 0.0887 0.9943 0.9079  1 Si 1.62
O 0.5873 0.9894 0.9127  1 Si 1.61
O 0.4068 0.8254 0.9123  1 Si 1.62
O 0.9069 0.8246 0.9131  1 Si 1.62
O 0.4953 0.1666 0.5922  1 Si 1.67
O 0.9963 0.1761 0.5926  1 Si 1.62
O 0.0919 0.0174 0.5873  1 Si 1.63
O 0.5910 0.0120 0.5947  1 Si 1.66
O 0.4162 0.8206 0.5934  1 Si 1.68
O 0.9129 0.8139 0.5865  1 Si 1.62
O 0.4850 0.8079 0.0859  1 Si 1.62
O 0.9847 0.8076 0.0857  1 Si 1.62
O 0.4182 0.0358 0.0820  1 Si 1.63
O 0.9183 0.0357 0.0820  1 Si 1.63
O 0.0986 0.1571 0.0852  1 Si 1.63
O 0.5987 0.1572 0.0853  1 Si 1.62
O 0.3427 0.1670 0.7448  1 Si 1.62
O 0.8341 0.1617 0.7416  1 Si 1.66
O 0.2354 0.3258 0.7489  1 S 1.49
O 0.7426 0.3230 0.7392  1 Si 1.65
O 0.4156 0.5163 0.7448  1 Si 1.62
O 0.9151 0.5138 0.7410  1 Si 1.68
O 0.3367 0.5103 0.2415  1 Si 1.66
O 0.8366 0.5105 0.2415  1 Si 1.66
O 0.4126 0.3098 0.2424  1 Si 1.68
O 0.9127 0.3104 0.2423  1 Si 1.68
O 0.2366 0.1505 0.2452  1 S 1.51
O 0.7365 0.1503 0.2453  1 S 1.51
O 0.3168 0.4893 0.9209  1 Si 1.67
O 0.8168 0.4886 0.9198  1 Si 1.66
O 0.4278 0.3664 0.9210  1 Si 1.67
O 0.9280 0.3641 0.9210  1 Si 1.67
O 0.2556 0.1455 0.9211  1 Si 1.66
O 0.7558 0.1443 0.9206  1 Si 1.67
O 0.3175 0.1394 0.4162  1 Si 1.62
O 0.8153 0.1365 0.4168  1 Si 1.62
O 0.2533 0.3691 0.4181  1 Si 1.62
O 0.7519 0.3641 0.4166  1 Si 1.61
O 0.4324 0.4989 0.4177  1 Si 1.62
O 0.9315 0.4980 0.4162  1 Si 1.62
O 0.1831 0.5010 0.0837  1 Si 1.62
O 0.6831 0.5007 0.0837  1 Si 1.62
O 0.0690 0.6344 0.0831  1 Si 1.61
O 0.5690 0.6340 0.0834  1 Si 1.61
O 0.2476 0.8633 0.0833  1 Si 1.62
O 0.7479 0.8628 0.0840  1 Si 1.62
O 0.1741 0.8475 0.5742  1 Si 1.69
O 0.6773 0.8508 0.5797  1 Si 1.66
O 0.2504 0.6545 0.5755  1 Si 1.66
O 0.7459 0.6386 0.5786  1 Si 1.67
O 0.0728 0.5085 0.5792  1 Si 1.66
O 0.5777 0.4987 0.5751  1 Si 1.66
O 0.1617 0.8499 0.2545  1 S 1.51
O 0.6615 0.8497 0.2548  1 S 1.51
O 0.2577 0.6898 0.2576  1 Si 1.68
O 0.7576 0.6901 0.2579  1 Si 1.68
O 0.0816 0.4891 0.2585  1 Si 1.66
O 0.5813 0.4894 0.2586  1 Si 1.67
O 0.1580 0.4737 0.7557  1 S 1.52
O 0.6555 0.4833 0.7544  1 Si 1.66
O 0.0847 0.6769 0.7596  1 Si 1.66
O 0.5859 0.6905 0.7547  1 Si 1.67
O 0.2599 0.8179 0.7556  1 Si 1.66
O 0.7557 0.8314 0.7581  1 Si 1.69

ΔH_f (0 K)   -2.7171 eV per atom

[2]
Density functional theory data (PBE) for an optimized crystal structure of Sr3Ca.

Cell: 8.3447 8.3447 6.8474 Å, 90.00 90.00 120.00°
Last column: nearest neighbours and their distance in Å.
Positions (direct):
Sr 0.1688 0.3375 0.2500  8 Sr 4.12-4.22, 4 Ca 4.17
Sr 0.6625 0.8312 0.2500  8 Sr 4.12-4.22, 4 Ca 4.17
Sr 0.1688 0.8312 0.2500  8 Sr 4.12-4.22, 4 Ca 4.17
Sr 0.8312 0.6625 0.7500  8 Sr 4.12-4.22, 4 Ca 4.17
Sr 0.3375 0.1688 0.7500  8 Sr 4.12-4.22, 4 Ca 4.17
Sr 0.8312 0.1688 0.7500  8 Sr 4.12-4.22, 4 Ca 4.17
Ca 0.3333 0.6667 0.7500  12 Sr 4.17
Ca 0.6667 0.3333 0.2500  12 Sr 4.17

ΔH_f (0 K)   0.0313 eV per atom

[3]
Density functional theory data (PBE) for an optimized crystal structure of Hg7P2O10.

Cell: 10.2131 6.3838 9.9941 Å, 84.22 90.00 90.00°
Last column: nearest neighbours and their distance in Å.
Positions (direct):
Hg 0.0000 0.5000 0.0000  2 O 2.06
Hg 0.5000 0.5000 0.5000  2 O 2.06
Hg 0.6168 0.8092 0.1907  2 O 2.24-2.32
Hg 0.1168 0.1908 0.3093  2 O 2.24-2.32
Hg 0.3832 0.1908 0.8093  2 O 2.24-2.32
Hg 0.8832 0.8092 0.6907  2 O 2.24-2.32
Hg 0.8494 0.9843 0.0882  2 O 2.28-2.29
Hg 0.3494 0.0157 0.4118  2 O 2.28-2.29
Hg 0.1506 0.0157 0.9118  2 O 2.28-2.29
Hg 0.6506 0.9843 0.5882  2 O 2.28-2.29
Hg 0.6394 0.2388 0.1483  3 O 2.29-2.43
Hg 0.1394 0.7612 0.3517  3 O 2.29-2.43
Hg 0.3606 0.7612 0.8517  3 O 2.29-2.43
Hg 0.8606 0.2388 0.6483  3 O 2.29-2.43
P 0.8512 0.5004 0.3526  4 O 1.55-1.58
P 0.3512 0.4996 0.1474  4 O 1.55-1.58
P 0.1488 0.4996 0.6474  4 O 1.55-1.58
P 0.6488 0.5004 0.8526  4 O 1.55-1.58
O 0.4329 0.3203 0.2269  1 P 1.57
O 0.9329 0.6797 0.2731  1 P 1.57
O 0.5671 0.6797 0.7731  1 P 1.57
O 0.0671 0.3203 0.7269  1 P 1.57
O 0.9064 0.2770 0.3378  1 P 1.55
O 0.4064 0.7230 0.1622  1 P 1.55
O 0.0936 0.7230 0.6622  1 P 1.55
O 0.5936 0.2770 0.8378  1 P 1.55
O 0.6575 0.5394 0.0037  1 P 1.56
O 0.1575 0.4606 0.4963  1 P 1.56
O 0.3425 0.4606 0.9963  1 P 1.56
O 0.8425 0.5394 0.5037  1 P 1.56
O 0.0332 0.1870 0.0632  3 Hg 2.06-2.29
O 0.5332 0.8130 0.4368  3 Hg 2.06-2.29
O 0.9668 0.8130 0.9368  3 Hg 2.06-2.29
O 0.4668 0.1870 0.5632  3 Hg 2.06-2.29
O 0.7085 0.5016 0.2927  1 P 1.58
O 0.2085 0.4984 0.2073  1 P 1.58
O 0.7915 0.5016 0.7927  1 P 1.58
O 0.2915 0.4984 0.7073  1 P 1.58

ΔH_f (0 K)   -1.4021 eV per atom

[4]
Density functional theory data (PBE) for an optimized crystal structure of SiO2.

Cell: 11.0083 11.0083 11.0083 Å, 103.11 103.11 123.12°
Last column: nearest neighbours and their distance in Å.
Positions (direct):
Si 0.7500 0.3961 0.6461  4 O 1.63-1.66
Si 0.0474 0.5474 0.8801  4 O 1.62-1.66
Si 0.6673 0.1673 0.1199  4 O 1.62-1.66
Si 0.7500 0.1039 0.3539  4 O 1.63-1.66
Si 0.4526 0.3327 0.5000  4 O 1.62-1.66
Si 0.6039 0.2500 0.3539  4 O 1.63-1.66
Si 0.2500 0.6039 0.3539  4 O 1.63-1.66
Si 0.3961 0.7500 0.6461  4 O 1.63-1.66
Si 0.9526 0.4526 0.1199  4 O 1.62-1.66
Si 0.1673 0.0474 0.5000  4 O 1.62-1.66
Si 0.2500 0.8961 0.6461  4 O 1.63-1.66
Si 0.8327 0.9526 0.5000  4 O 1.62-1.66
Si 0.1039 0.7500 0.3539  4 O 1.63-1.66
Si 0.8961 0.2500 0.6461  4 O 1.63-1.66
Si 0.5474 0.6673 0.5000  4 O 1.62-1.66
Si 0.3327 0.8327 0.8801  4 O 1.62-1.66
O 0.7693 0.1297 0.2171  2 Si 1.63-1.66
O 0.4127 0.6297 0.3604  2 Si 1.63-1.66
O 0.6297 0.2693 0.2171  2 Si 1.63-1.66
O 0.2572 0.7572 0.3499  2 Si 1.66
O 0.4072 0.9072 0.6501  2 Si 1.66
O 0.5873 0.3703 0.6396  2 Si 1.63-1.66
O 0.5928 0.0928 0.3499  2 Si 1.66
O 0.9072 0.2572 0.5000  2 Si 1.66
O 0.5522 0.7693 0.6396  2 Si 1.63-1.66
O 0.1297 0.9127 0.3604  2 Si 1.63-1.66
O 0.0873 0.4478 0.2171  2 Si 1.63-1.66
O 0.3703 0.7307 0.7829  2 Si 1.63-1.66
O 0.7428 0.2428 0.6501  2 Si 1.66
O 0.2764 0.2236 0.5000  2 Si 1.63
O 0.9127 0.5522 0.7829  2 Si 1.63-1.66
O 0.2307 0.8703 0.7829  2 Si 1.63-1.66
O 0.5000 0.0000 0.0000  2 Si 1.62
O 0.4478 0.2307 0.3604  2 Si 1.63-1.66
O 0.8703 0.0873 0.6396  2 Si 1.63-1.66
O 0.7764 0.2764 0.0529  2 Si 1.63
O 0.5000 0.5000 0.5000  2 Si 1.62
O 0.0928 0.7428 0.5000  2 Si 1.66
O 0.7572 0.4072 0.5000  2 Si 1.66
O 0.2693 0.0522 0.6396  2 Si 1.63-1.66
O 0.2236 0.7236 0.9471  2 Si 1.63
O 0.2428 0.5928 0.5000  2 Si 1.66
O 0.9478 0.5873 0.2171  2 Si 1.63-1.66
O 0.0522 0.4127 0.7829  2 Si 1.63-1.66
O 0.7307 0.9478 0.3604  2 Si 1.63-1.66
O 0.7236 0.7764 0.5000  2 Si 1.63
O 0.0000 0.5000 0.0000  2 Si 1.62
O 0.0000 0.0000 0.5000  2 Si 1.62

ΔH_f (0 K)   -3.1689 eV per atom